{
  "formula": "CsMg6Cu",
  "functional": "PBE",
  "state": "relaxed",
  "lattice_angstrom": [[-2.8851, 0.9619, -3.7505], [4.3386, -1.6446, -3.7593], [-6.1350, -17.0040, 0.3584]],
  "species": ["Mg", "Cs", "Mg", "Mg", "Mg", "Cu", "Cu", "Mg", "Mg", "Mg", "Mg", "Mg", "Mg", "Mg", "Mg", "Cs"],
  "fractional_positions": [[0.0000, 0.7454, 0.0306], [0.5000, 0.0000, 0.7259], [0.0000, 0.7546, 0.5306], [0.0000, 0.2454, 0.5306], [0.5000, 0.2567, 0.4255], [0.0000, 0.5000, 0.4057], [0.0000, 0.0000, 0.9057], [0.5000, 0.7567, 0.9255], [0.5000, 0.0000, 0.0866], [0.5000, 0.2433, 0.9255], [0.0000, 0.0000, 0.3697], [0.0000, 0.5000, 0.8697], [0.0000, 0.2546, 0.0306], [0.5000, 0.5000, 0.5866], [0.5000, 0.7433, 0.4255], [0.5000, 0.5000, 0.2259]],
  "e_above_lowest_polymorph_mev_per_atom": 0.0,
  "magnetic_moment_mub_per_atom": 0.000,
  "volume_a3_per_atom": 32.6,
  "ef_ev_per_atom": 0.214
}